(1)
A plane-wave DFT calculation with PBE-GGA was carried out for an optimized crystal structure of Sc2Co3Si.

The structure in CIF format:
```
data_Sc2Co3Si
_space_group_name_H-M_alt 'P 63/m m c'
_space_group_IT_number 194
_space_group_name_Hall '-P 6c 2c'
_cell_length_a 5.0183
_cell_length_b 5.0183
_cell_length_c 7.4734
_cell_angle_alpha 90.00
_cell_angle_beta 90.00
_cell_angle_gamma 120.00
loop_
_atom_site_label
_atom_site_type_symbol
_atom_site_fract_x
_atom_site_fract_y
_atom_site_fract_z
Sc1 Sc 0.3333 0.6667 0.0609
Co1 Co 0.1708 0.3417 0.7500
Si1 Si 0.0000 0.0000 0.0000
```

(2)
# PBE-GGA Ag2PHO4, optimized geometry
# Total magnetization (Bohr magnetons per cell): 0.00
data_Ag2PHO4
_space_group_name_H-M_alt 'P 31 1 2'
_space_group_IT_number 151
_cell_length_a 6.2826
_cell_length_b 6.2826
_cell_length_c 9.0898
_cell_angle_alpha 90.00
_cell_angle_beta 90.00
_cell_angle_gamma 120.00
loop_
_space_group_symop_operation_xyz
'x,y,z'
'-y,x-y,z+1/3'
'-x+y,-x,z+2/3'
'-y,-x,-z+2/3'
'-x+y,y,-z+1/3'
'x,x-y,-z'
loop_
_atom_site_label
_atom_site_type_symbol
_atom_site_fract_x
_atom_site_fract_y
_atom_site_fract_z
Ag1 Ag 0.1522 0.0761 0.0000
Ag2 Ag 0.2022 0.4044 0.6667
P1 P 0.5127 0.0254 0.6667
H1 H 0.6405 0.2810 0.1667
O1 O 0.1368 0.4057 0.9163
O2 O 0.4651 0.1931 0.7736

(3)
# PBE-GGA Tb3CuSnSe7, optimized geometry
# Total magnetization (Bohr magnetons per cell): 0.00
# Largest piezoelectric modulus (C/m²): 0.9
data_Tb3CuSnSe7
_space_group_name_H-M_alt 'P 63'
_space_group_IT_number 173
_cell_length_a 10.2776
_cell_length_b 10.2776
_cell_length_c 6.5076
_cell_angle_alpha 90.00
_cell_angle_beta 90.00
_cell_angle_gamma 120.00
loop_
_space_group_symop_operation_xyz
'x,y,z'
'x-y,x,z+1/2'
'-y,x-y,z'
'-x,-y,z+1/2'
'-x+y,-x,z'
'y,-x+y,z+1/2'
loop_
_atom_site_label
_atom_site_type_symbol
_atom_site_fract_x
_atom_site_fract_y
_atom_site_fract_z
Tb1 Tb 0.1505 0.7930 0.0000
Cu1 Cu 0.0000 0.0000 0.0988
Sn1 Sn 0.3333 0.6667 0.4283
Se1 Se 0.0787 0.5180 0.2466
Se2 Se 0.1158 0.8516 0.5720
Se3 Se 0.3333 0.6667 0.8208

Number 1: energy of formation -3.6 eV/f.u.. Number 2: energy of formation -12.6 eV/f.u.. Number 3: energy of formation -18.5 eV/f.u..